1.
The following is a PBE calculation of crystalline Ba8Ti3Nb4O24 at its relaxed geometry, from Materials Project.

Summary:
Density: 5820 kg/m3
Formation energy from the elements: -3.338 eV/atom
Uncorrected energy: -311.89 eV/cell
M_tot: 0.0 μB/f.u.

Cell and atoms, written as CIF:
```
data_Ba8Ti3Nb4O24
_chemical_formula_sum 'Ba8 Ti3 Nb4 O24'
_space_group_name_H-M_alt 'P 3 m 1'
_space_group_IT_number 156
_cell_length_a 5.8547
_cell_length_b 5.8547
_cell_length_c 19.2015
_cell_angle_alpha 90.00
_cell_angle_beta 90.00
_cell_angle_gamma 120.00
loop_
_space_group_symop_operation_xyz
'x,y,z'
'-y,x-y,z'
'-x+y,-x,z'
'-y,-x,z'
'-x+y,y,z'
'x,x-y,z'
loop_
_atom_site_label
_atom_site_type_symbol
_atom_site_fract_x
_atom_site_fract_y
_atom_site_fract_z
_atom_site_occupancy
Ba1 Ba 0.0000 0.0000 0.0000 1
Ba2 Ba 0.0000 0.0000 0.2271 1
Ba3 Ba 0.0000 0.0000 0.5992 1
Ba4 Ba 0.3333 0.6667 0.0989 1
Ba5 Ba 0.3333 0.6667 0.4864 1
Ba6 Ba 0.3333 0.6667 0.7141 1
Ba7 Ba 0.6667 0.3333 0.3537 1
Ba8 Ba 0.6667 0.3333 0.8638 1
Ti1 Ti 0.0000 0.0000 0.4164 1
Ti2 Ti 0.6667 0.3333 0.5320 1
Ti3 Ti 0.6667 0.3333 0.6728 1
Nb1 Nb 0.0000 0.0000 0.7910 1
Nb2 Nb 0.3333 0.6667 0.2927 1
Nb3 Nb 0.3333 0.6667 0.9189 1
Nb4 Nb 0.6667 0.3333 0.1574 1
O1 O 0.0066 0.5033 0.2349 1
O2 O 0.0160 0.5080 0.9685 1
O3 O 0.1652 0.3305 0.3559 1
O4 O 0.1648 0.3295 0.8428 1
O5 O 0.3287 0.1644 0.4749 1
O6 O 0.3340 0.1670 0.7234 1
O7 O 0.3368 0.1684 0.1132 1
O8 O 0.5192 0.0384 0.5995 1
```

***

2.
The following is a PBE calculation of crystalline PdSe8Cl2 at its relaxed geometry, from Materials Project.

Summary:
Density: 3928 kg/m3
Formation energy from the elements: -0.278 eV/atom
Uncorrected energy: -154.68 eV/cell

Cell and atoms, written as CIF:
```
data_PdSe8Cl2
_chemical_formula_sum 'Pd4 Se32 Cl8'
_space_group_name_H-M_alt 'P b c a'
_space_group_IT_number 61
_cell_length_a 9.215
_cell_length_b 14.468
_cell_length_c 10.261
_cell_angle_alpha 90.00
_cell_angle_beta 90.00
_cell_angle_gamma 90.00
loop_
_space_group_symop_operation_xyz
'x,y,z'
'-x,-y,-z'
'-x+1/2,-y,z+1/2'
'x+1/2,y,-z+1/2'
'x+1/2,-y+1/2,-z'
'-x+1/2,y+1/2,z'
'-x,y+1/2,-z+1/2'
'x,-y+1/2,z+1/2'
loop_
_atom_site_label
_atom_site_type_symbol
_atom_site_fract_x
_atom_site_fract_y
_atom_site_fract_z
_atom_site_occupancy
Pd1 Pd 0.000 0.000 0.000 1
Se1 Se 0.077 0.122 0.377 1
Se2 Se 0.088 0.218 0.194 1
Se3 Se 0.130 0.527 0.154 1
Se4 Se 0.195 0.113 0.031 1
Cl1 Cl 0.091 0.602 0.655 1
```